Entry 1:
Computed, not measured: Li9Co7O16 after structural relaxation at the PBE with a Hubbard U level of DFT.

Cell and atoms, written as POSCAR:
```
Li9Co7O16
1.0
-1.076 -2.053 1.775
5.265 -2.676 0.096
4.626 8.886 13.083
Li Co O
9 7 16
direct
0.500 0.999 0.753 Li
0.500 0.500 0.500 Li
0.500 0.001 0.247 Li
0.000 0.249 0.625 Li
0.000 0.751 0.375 Li
0.000 0.244 0.122 Li
0.500 0.500 0.000 Li
0.000 0.756 0.878 Li
0.500 0.000 0.000 Li
0.000 0.240 0.881 Co
0.000 0.760 0.119 Co
0.000 0.749 0.627 Co
0.000 0.251 0.373 Co
0.500 0.000 0.500 Co
0.500 0.497 0.246 Co
0.500 0.503 0.754 Co
0.500 0.018 0.875 O
0.500 0.522 0.631 O
0.500 0.029 0.377 O
0.000 0.262 0.757 O
0.000 0.761 0.500 O
0.000 0.264 0.249 O
0.500 0.512 0.129 O
0.000 0.747 0.013 O
0.500 0.971 0.623 O
0.500 0.478 0.369 O
0.500 0.982 0.125 O
0.000 0.239 0.500 O
0.000 0.738 0.243 O
0.000 0.253 0.987 O
0.500 0.488 0.871 O
0.000 0.736 0.751 O
```

Summary:
Calculated volume = 8.9 A^3/atom
Total DFT energy (no corrections) = -177.82 eV for the cell shown
Space-group type = P2/m
Total energy after the MP2020 corrections = -6.26 eV per atom
ΔE to the lowest computed polymorph = 63 meV per atom


Entry 2:
Computed, not measured: LiVF3 after structural relaxation at the PBE with a Hubbard U level of DFT.

Cell and atoms, written as POSCAR:
```
LiVF3
1.0
-5.590 -0.841 -0.694
-2.392 -2.031 -4.753
-2.463 -5.117 -0.441
Li V F
2 2 6
direct
0.796 0.796 0.796 Li
0.296 0.296 0.296 Li
0.506 0.506 0.506 V
0.006 0.006 0.006 V
0.917 0.600 0.226 F
0.417 0.726 0.100 F
0.726 0.100 0.417 F
0.600 0.226 0.917 F
0.226 0.917 0.600 F
0.100 0.417 0.726 F
```

Summary:
Calculated volume = 11.7 A^3/atom
Total DFT energy (no corrections) = -57.76 eV for the cell shown
Space-group type = R3c
Total energy after the MP2020 corrections = -6.39 eV per atom
Piezoelectric modulus e_max = 1.51 C/m2
ΔE to the lowest computed polymorph = 0 meV per atom


Values of ΔE_f, in order: -1.693 -3.046, all in eV/atom.